CoTeMo after structural relaxation, computed with PBE.

abc: 4.4591 4.4591 5.5501
angles: 90.00 90.00 90.00
Closest atoms and distances in Å follow each position.
Positions (direct):
Co: 0.5000 0.0000 0.7258  4 Mo 2.56, 4 Te 2.70
Co: 0.0000 0.5000 0.2742  4 Mo 2.56, 4 Te 2.70
Te: 0.5000 0.5000 0.0000  4 Co 2.70, 2 Mo 2.78
Te: 0.0000 0.0000 0.0000  4 Co 2.70, 2 Mo 2.78
Mo: 0.5000 0.5000 0.5000  4 Co 2.56, 2 Te 2.78
Mo: 0.0000 0.0000 0.5000  4 Co 2.56, 2 Te 2.78

Output
- energy above the most stable polymorph in this dataset (meV/atom) = 41
- energy of formation (eV/atom) = 0.47
- volume (A^3/atom) = 18.39

***

Ti2CoMo after structural relaxation, computed with PBE.

abc: 4.3279 4.3279 4.3279
angles: 60.00 60.00 60.00
Closest atoms and distances in Å follow each position.
Positions (direct):
Ti: 0.2500 0.2500 0.2500  4 Co 2.65, 4 Mo 2.65
Ti: 0.7500 0.7500 0.7500  4 Co 2.65, 4 Mo 2.65
Co: 0.5000 0.5000 0.5000  8 Ti 2.65
Mo: 0.0000 0.0000 0.0000  8 Ti 2.65

Output
- energy of formation (eV/atom) = -0.26
- volume (A^3/atom) = 14.33

***

TlCoMo2 after structural relaxation, computed with PBE.

abc: 4.5043 4.5043 4.5043
angles: 60.00 60.00 60.00
Closest atoms and distances in Å follow each position.
Positions (direct):
Tl: 0.7500 0.7500 0.7500  4 Mo 2.76, 4 Co 2.76
Co: 0.0000 0.0000 0.0000  4 Tl 2.76, 4 Mo 2.76
Mo: 0.5000 0.5000 0.5000  4 Tl 2.76, 4 Mo 2.76
Mo: 0.2500 0.2500 0.2500  4 Mo 2.76, 4 Co 2.76

Output
- energy of formation (eV/atom) = 0.64
- volume (A^3/atom) = 16.15

***

V2Co9Mo after structural relaxation, computed with PBE.

abc: 6.7576 6.7576 6.7576
angles: 43.74 43.74 43.74
Closest atoms and distances in Å follow each position.
Positions (direct):
V: 0.2185 0.2185 0.2185  12 Co 2.47-2.53
V: 0.0004 0.0004 0.0004  12 Co 2.51-2.52
Co: 0.7183 0.2338 0.7183  8 Co 2.44-2.60, 1 Mo 2.50, 3 V 2.51-2.52
Co: 0.7183 0.7183 0.2338  8 Co 2.44-2.60, 1 Mo 2.50, 3 V 2.51-2.52
Co: 0.2338 0.7183 0.7183  8 Co 2.44-2.60, 1 Mo 2.50, 3 V 2.51-2.52
Co: 0.2819 0.7686 0.2819  8 Co 2.45-2.58, 2 V 2.47-2.51, 2 Mo 2.52
Co: 0.2819 0.2819 0.7686  8 Co 2.45-2.58, 2 V 2.47-2.51, 2 Mo 2.52
Co: 0.7686 0.2819 0.2819  8 Co 2.45-2.58, 2 V 2.47-2.51, 2 Mo 2.52
Co: 0.4976 0.4976 0.0023  8 Co 2.46-2.54, 3 V 2.52-2.53, 1 Mo 2.56
Co: 0.0023 0.4976 0.4976  8 Co 2.46-2.54, 3 V 2.52-2.53, 1 Mo 2.56
Co: 0.4976 0.0023 0.4976  8 Co 2.46-2.54, 3 V 2.52-2.53, 1 Mo 2.56
Mo: 0.7806 0.7806 0.7806  12 Co 2.50-2.56

Output
- energy of formation (eV/atom) = -0.12
- volume (A^3/atom) = 11.16

***

Zr9CoMo4 after structural relaxation, computed with PBE.

abc: 8.8069 8.8069 8.4443
angles: 90.00 90.00 120.00
Closest atoms and distances in Å follow each position.
Positions (direct):
Zr: 0.5425 0.0849 0.2500  2 Mo 2.95, 1 Co 3.19, 10 Zr 3.23-3.28
Zr: 0.4575 0.9151 0.7500  2 Mo 2.95, 1 Co 3.19, 10 Zr 3.23-3.28
Zr: 0.9151 0.4575 0.2500  2 Mo 2.95, 1 Co 3.19, 10 Zr 3.23-3.28
Zr: 0.5425 0.4575 0.2500  2 Mo 2.95, 1 Co 3.19, 10 Zr 3.23-3.28
Zr: 0.4575 0.5425 0.7500  2 Mo 2.95, 1 Co 3.19, 10 Zr 3.23-3.28
Zr: 0.0849 0.5425 0.7500  2 Mo 2.95, 1 Co 3.19, 10 Zr 3.23-3.28
Zr: 0.2009 0.4019 0.0578  1 Co 2.59
Zr: 0.7991 0.5981 0.5578  1 Co 2.59
Zr: 0.5981 0.7991 0.0578  1 Co 2.59
Zr: 0.2009 0.7991 0.0578  1 Co 2.59
Zr: 0.7991 0.2009 0.5578  1 Co 2.59
Zr: 0.4019 0.2009 0.5578  1 Co 2.59
Zr: 0.7991 0.5981 0.9422  1 Co 2.59
Zr: 0.7991 0.2009 0.9422  1 Co 2.59
Zr: 0.4019 0.2009 0.9422  1 Co 2.59
Zr: 0.5981 0.7991 0.4422  1 Co 2.59
Zr: 0.2009 0.7991 0.4422  1 Co 2.59
Zr: 0.2009 0.4019 0.4422  1 Co 2.59
Co: 0.3333 0.6667 0.2500  6 Zr 2.59
Co: 0.6667 0.3333 0.7500  6 Zr 2.59
Mo: 0.0000 0.0000 0.0000  6 Mo 2.70
Mo: 0.0000 0.0000 0.5000  6 Mo 2.70
Mo: 0.8895 0.7790 0.2500  4 Mo 2.70-2.92, 4 Zr 2.94-2.95
Mo: 0.1105 0.2210 0.7500  4 Mo 2.70-2.92, 4 Zr 2.94-2.95
Mo: 0.2210 0.1105 0.2500  4 Mo 2.70-2.92, 4 Zr 2.94-2.95
Mo: 0.8895 0.1105 0.2500  4 Mo 2.70-2.92, 4 Zr 2.94-2.95
Mo: 0.1105 0.8895 0.7500  4 Mo 2.70-2.92, 4 Zr 2.94-2.95
Mo: 0.7790 0.8895 0.7500  4 Mo 2.70-2.92, 4 Zr 2.94-2.95

Output
- energy of formation (eV/atom) = -0.13
- volume (A^3/atom) = 20.26

***

Co2N after structural relaxation, computed with PBE.

abc: 2.8387 4.2920 4.5391
angles: 90.00 90.00 90.00
Closest atoms and distances in Å follow each position.
Positions (direct):
Co: 0.5000 0.2294 0.8247  3 N 1.88-1.90
Co: 0.5000 0.7706 0.1753  3 N 1.88-1.90
Co: 0.0000 0.2706 0.3247  3 N 1.88-1.90
Co: 0.0000 0.7294 0.6753  3 N 1.88-1.90
N: 0.5000 0.5000 0.5000  6 Co 1.88-1.90
N: 0.0000 0.0000 0.0000  6 Co 1.88-1.90

Output
- energy of formation (eV/atom) = -0.05
- volume (A^3/atom) = 9.22

***

Co3N after structural relaxation, computed with PBE.

abc: 4.5499 4.5499 4.3318
angles: 90.00 90.00 120.00
Closest atoms and distances in Å follow each position.
Positions (direct):
Co: 0.3261 0.0000 0.0000  2 N 1.88
Co: 0.0000 0.3261 0.0000  2 N 1.88
Co: 0.6739 0.0000 0.5000  2 N 1.88
Co: 0.6739 0.6739 0.0000  2 N 1.88
Co: 0.0000 0.6739 0.5000  2 N 1.88
Co: 0.3261 0.3261 0.5000  2 N 1.88
N: 0.3333 0.6667 0.2500  6 Co 1.88
N: 0.6667 0.3333 0.7500  6 Co 1.88

Output
- energy of formation (eV/atom) = -0.02
- volume (A^3/atom) = 9.71

***

Nb5CoN9 after structural relaxation, computed with PBE.

abc: 9.4740 5.3706 16.2750
angles: 90.00 125.83 90.00
Closest atoms and distances in Å follow each position.
Positions (direct):
Nb: 0.2707 0.0456 0.5669  6 N 2.07-2.29
Nb: 0.7293 0.5456 0.9331  6 N 2.07-2.29
Nb: 0.7293 0.9544 0.4331  6 N 2.07-2.29
Nb: 0.2707 0.4544 0.0669  6 N 2.07-2.29
Nb: 0.7750 0.4676 0.5479  4 N 1.99-2.08
Nb: 0.2250 0.9676 0.9521  4 N 1.99-2.08
Nb: 0.2250 0.5324 0.4521  4 N 1.99-2.08
Nb: 0.7750 0.0324 0.0479  4 N 1.99-2.08
Nb: 0.2743 0.4708 0.7206  3 N 2.03-2.10
Nb: 0.7257 0.9708 0.7794  3 N 2.03-2.10
Nb: 0.7257 0.5292 0.2794  3 N 2.03-2.10
Nb: 0.2743 0.0292 0.2206  3 N 2.03-2.10
Nb: 0.4494 0.9958 0.8269  4 N 1.92-2.12
Nb: 0.5506 0.4958 0.6731  4 N 1.92-2.12
Nb: 0.5506 0.0042 0.1731  4 N 1.92-2.12
Nb: 0.4494 0.5042 0.3269  4 N 1.92-2.12
Nb: 0.9989 0.5299 0.8223  6 N 2.03-2.26
Nb: 0.0011 0.0299 0.6777  6 N 2.03-2.26
Nb: 0.0011 0.4701 0.1777  6 N 2.03-2.26
Nb: 0.9989 0.9701 0.3223  6 N 2.03-2.26
Co: 0.0000 0.5000 0.5000  6 N 1.98-2.05
Co: 0.0000 0.0000 0.0000  6 N 1.98-2.05
Co: 0.5000 0.0000 0.5000  6 N 1.97-2.06
Co: 0.5000 0.5000 0.0000  6 N 1.97-2.06
N: 0.9792 0.9060 0.7891  2 Nb 2.05-2.07
N: 0.0208 0.4060 0.7109  2 Nb 2.05-2.07
N: 0.0208 0.0940 0.2109  2 Nb 2.05-2.07
N: 0.9792 0.5940 0.2891  2 Nb 2.05-2.07
N: 0.5443 0.6725 0.7875  3 Nb 2.07-2.22
N: 0.4557 0.1725 0.7125  3 Nb 2.07-2.22
N: 0.4557 0.3275 0.2125  3 Nb 2.07-2.22
N: 0.5443 0.8275 0.2875  3 Nb 2.07-2.22
N: 0.2301 0.8229 0.7535  3 Nb 1.92-2.08
N: 0.7699 0.3229 0.7465  3 Nb 1.92-2.08
N: 0.7699 0.1771 0.2465  3 Nb 1.92-2.08
N: 0.2301 0.6771 0.2535  3 Nb 1.92-2.08
N: 0.8864 0.7823 0.3962  1 Co 2.05, 3 Nb 2.10-2.26
N: 0.1136 0.2823 0.1038  1 Co 2.05, 3 Nb 2.10-2.26
N: 0.1136 0.2177 0.6038  1 Co 2.05, 3 Nb 2.10-2.26
N: 0.8864 0.7177 0.8962  1 Co 2.05, 3 Nb 2.10-2.26
N: 0.0741 0.2520 0.4420  1 Co 1.98, 2 Nb 2.02-2.10
N: 0.9259 0.7520 0.0580  1 Co 1.98, 2 Nb 2.02-2.10
N: 0.9259 0.7480 0.5580  1 Co 1.98, 2 Nb 2.02-2.10
N: 0.0741 0.2480 0.9420  1 Co 1.98, 2 Nb 2.02-2.10
N: 0.4152 0.1634 0.3641  2 Nb 2.01-2.03, 1 Co 2.06
N: 0.5848 0.6634 0.1359  2 Nb 2.01-2.03, 1 Co 2.06
N: 0.5848 0.8366 0.6359  2 Nb 2.01-2.03, 1 Co 2.06
N: 0.4152 0.3366 0.8641  2 Nb 2.01-2.03, 1 Co 2.06
N: 0.5743 0.6975 0.4656  1 Co 1.98, 2 Nb 1.99-2.11
N: 0.4257 0.1975 0.0344  1 Co 1.98, 2 Nb 1.99-2.11
N: 0.4257 0.3025 0.5344  1 Co 1.98, 2 Nb 1.99-2.11
N: 0.5743 0.8025 0.9656  1 Co 1.98, 2 Nb 1.99-2.11
N: 0.7616 0.3447 0.4238  1 Co 2.01, 2 Nb 2.06-2.14
N: 0.2384 0.8447 0.0762  1 Co 2.01, 2 Nb 2.06-2.14
N: 0.2384 0.6553 0.5762  1 Co 2.01, 2 Nb 2.06-2.14
N: 0.7616 0.1553 0.9238  1 Co 2.01, 2 Nb 2.06-2.14
N: 0.2549 0.9064 0.4337  1 Co 1.97, 2 Nb 2.03-2.08
N: 0.7451 0.4064 0.0663  1 Co 1.97, 2 Nb 2.03-2.08
N: 0.7451 0.0936 0.5663  1 Co 1.97, 2 Nb 2.03-2.08
N: 0.2549 0.5936 0.9337  1 Co 1.97, 2 Nb 2.03-2.08

Output
- energy of formation (eV/atom) = -0.67
- volume (A^3/atom) = 11.19

***

Nb4Co2N after structural relaxation, computed with PBE.

abc: 8.2306 8.2306 8.2306
angles: 60.00 60.00 60.00
Closest atoms and distances in Å follow each position.
Positions (direct):
Nb: 0.1250 0.6250 0.6250  6 Co 2.49
Nb: 0.6250 0.1250 0.6250  6 Co 2.49
Nb: 0.6250 0.6250 0.1250  6 Co 2.49
Nb: 0.6250 0.6250 0.6250  6 Co 2.49
Nb: 0.8140 0.8140 0.1860  2 N 2.18
Nb: 0.1860 0.1860 0.8140  2 N 2.18
Nb: 0.8140 0.1860 0.8140  2 N 2.18
Nb: 0.1860 0.8140 0.1860  2 N 2.18
Nb: 0.1860 0.8140 0.8140  2 N 2.18
Nb: 0.8140 0.1860 0.1860  2 N 2.18
Nb: 0.4360 0.4360 0.0640  2 N 2.18
Nb: 0.0640 0.0640 0.4360  2 N 2.18
Nb: 0.4360 0.0640 0.4360  2 N 2.18
Nb: 0.0640 0.4360 0.0640  2 N 2.18
Nb: 0.0640 0.4360 0.4360  2 N 2.18
Nb: 0.4360 0.0640 0.0640  2 N 2.18
Co: 0.7363 0.4212 0.4212  3 Nb 2.49, 3 Co 2.59
Co: 0.4212 0.7363 0.4212  3 Nb 2.49, 3 Co 2.59
Co: 0.4212 0.4212 0.7363  3 Nb 2.49, 3 Co 2.59
Co: 0.4212 0.4212 0.4212  3 Nb 2.49, 3 Co 2.59
Co: 0.5137 0.8288 0.8288  3 Nb 2.49, 3 Co 2.59
Co: 0.8288 0.5137 0.8288  3 Nb 2.49, 3 Co 2.59
Co: 0.8288 0.8288 0.5137  3 Nb 2.49, 3 Co 2.59
Co: 0.8288 0.8288 0.8288  3 Nb 2.49, 3 Co 2.59
N: 0.6250 0.1250 0.1250  6 Nb 2.18
N: 0.1250 0.6250 0.1250  6 Nb 2.18
N: 0.1250 0.1250 0.6250  6 Nb 2.18
N: 0.1250 0.1250 0.1250  6 Nb 2.18

Output
- energy of formation (eV/atom) = -0.52
- volume (A^3/atom) = 14.08

***

Co5NiN4 after structural relaxation, computed with PBE.

abc: 7.2422 5.7827 4.4481
angles: 90.00 90.00 90.00
Closest atoms and distances in Å follow each position.
Positions (direct):
Co: 0.5746 0.5246 0.2580  3 N 1.79-1.93
Co: 0.9254 0.5246 0.2580  3 N 1.79-1.93
Co: 0.5746 0.9754 0.2580  3 N 1.79-1.93
Co: 0.9254 0.9754 0.2580  3 N 1.79-1.93
Co: 0.4254 0.4754 0.7420  3 N 1.79-1.93
Co: 0.0746 0.4754 0.7420  3 N 1.79-1.93
Co: 0.4254 0.0246 0.7420  3 N 1.79-1.93
Co: 0.0746 0.0246 0.7420  3 N 1.79-1.93
Co: 0.7500 0.7500 0.7508  4 N 1.86-2.00
Co: 0.2500 0.2500 0.2492  4 N 1.86-2.00
Ni: 0.7500 0.2500 0.6733  4 N 1.91-2.08
Ni: 0.2500 0.7500 0.3267  4 N 1.91-2.08
N: 0.7500 0.0190 0.9788  3 Co 1.79-1.86, 1 Ni 1.91
N: 0.7500 0.4810 0.9788  3 Co 1.79-1.86, 1 Ni 1.91
N: 0.2500 0.9810 0.0212  3 Co 1.79-1.86, 1 Ni 1.91
N: 0.2500 0.5190 0.0212  3 Co 1.79-1.86, 1 Ni 1.91
N: 0.5013 0.7500 0.5548  5 Co 1.88-2.00, 1 Ni 2.08
N: 0.9987 0.7500 0.5548  5 Co 1.88-2.00, 1 Ni 2.08
N: 0.4987 0.2500 0.4452  5 Co 1.88-2.00, 1 Ni 2.08
N: 0.0013 0.2500 0.4452  5 Co 1.88-2.00, 1 Ni 2.08

Output
- energy of formation (eV/atom) = 0.08
- volume (A^3/atom) = 9.31

***

CoNi2N2 after structural relaxation, computed with PBE.

abc: 2.8542 2.8591 5.9013
angles: 104.02 103.99 90.00
Closest atoms and distances in Å follow each position.
Positions (direct):
Co: 0.5000 0.5000 0.5000  2 N 1.79
Ni: 0.8461 0.8461 0.1923  5 N 2.02-2.05
Ni: 0.1539 0.1539 0.8077  5 N 2.02-2.05
N: 0.3389 0.3389 0.1777  1 Co 1.79
N: 0.6611 0.6611 0.8223  1 Co 1.79

Output
- energy of formation (eV/atom) = 0.23
- volume (A^3/atom) = 9.05

***

CoPb3N3 after structural relaxation, computed with PBE.

abc: 10.1375 10.1378 3.8587
angles: 90.00 90.00 119.98
Closest atoms and distances in Å follow each position.
Positions (direct):
Co: 0.6667 0.3333 0.7500  3 N 1.74
Co: 0.3333 0.6667 0.2500  3 N 1.74
Pb: 0.9191 0.5960 0.2500  3 N 2.37-2.40
Pb: 0.6768 0.0806 0.2500  3 N 2.37-2.40
Pb: 0.4041 0.3232 0.2500  3 N 2.37-2.40
Pb: 0.0809 0.4040 0.7500  3 N 2.37-2.40
Pb: 0.3232 0.9194 0.7500  3 N 2.37-2.40
Pb: 0.5959 0.6768 0.7500  3 N 2.37-2.40
N: 0.8649 0.4406 0.7500  1 Co 1.74
N: 0.5759 0.1352 0.7500  1 Co 1.74
N: 0.5594 0.4242 0.7500  1 Co 1.74
N: 0.1351 0.5594 0.2500  1 Co 1.74
N: 0.4241 0.8648 0.2500  1 Co 1.74
N: 0.4406 0.5758 0.2500  1 Co 1.74

Output
- energy of formation (eV/atom) = 0.38
- volume (A^3/atom) = 24.54